A plane-wave DFT calculation with GGA+U was carried out for an optimized crystal structure of Li4TiCo5O12.

Unit cell a=5.0000 b=5.0147 c=20.1628 alpha=90.26 beta=90.51 gamma=118.39
Space group P1 (No. 1)
Asymmetric unit:
Li1 0.0000 0.0000 0.0000
Li2 0.0009 0.0197 0.5017
Li3 0.2773 0.2826 0.7551
Li4 0.2795 0.2708 0.2539
Li5 0.5000 0.4991 0.9992
Li6 0.5117 0.5082 0.5016
Li7 0.7688 0.7806 0.2531
Li8 0.7762 0.7839 0.7550
Ti1 0.1239 0.6429 0.1273
Ti2 0.1392 0.6468 0.6277
Co1 0.3008 0.4819 0.3775
Co2 0.3019 0.4808 0.8774
Co3 0.4711 0.3124 0.1271
Co4 0.4725 0.3109 0.6284
Co5 0.6378 0.1453 0.3775
Co6 0.6376 0.1451 0.8774
Co7 0.8004 0.9821 0.1261
Co8 0.8034 0.9806 0.6283
Co9 0.9728 0.8095 0.8774
Co10 0.9741 0.8088 0.3776
O1 0.1040 0.9550 0.1835
O2 0.1049 0.9567 0.6837
O3 0.1612 0.3233 0.0728
O4 0.1735 0.3377 0.5725
O5 0.3084 0.1517 0.9264
O6 0.3096 0.8178 0.8309
O7 0.3213 0.8301 0.3292
O8 0.3291 0.1631 0.4303
O9 0.4496 0.6119 0.6837
O10 0.4563 0.6200 0.1805
O11 0.4690 0.9832 0.0792
O12 0.4760 0.9846 0.5799
O13 0.6198 0.4546 0.3249
O14 0.6309 0.4748 0.8285
O15 0.6439 0.8153 0.9264
O16 0.6559 0.8364 0.4303
O17 0.8002 0.3244 0.1769
O18 0.8008 0.3080 0.6762
O19 0.8281 0.6674 0.0687
O20 0.8290 0.6819 0.5726
O21 0.9465 0.1279 0.3248
O22 0.9535 0.4602 0.4260
O23 0.9654 0.4726 0.9238
O24 0.9665 0.1385 0.8285

Computed properties:
- energy of formation (meV per atom) = -1788.9
- E_tot (eV per atom) = -6.06